# 1
Here is a relaxed Fe3As4O16 crystal from Materials Project. Energies are from GGA+U.

Unit cell a=9.534 b=4.999 c=15.718 alpha=90.00 beta=113.32 gamma=90.00
Space group P2_1/c (No. 14)
Unique sites:
Fe 0.000 0.000 0.000
Fe 0.300 0.042 0.628
As 0.049 0.055 0.396
As 0.465 0.054 0.856
O 0.031 0.717 0.406
O 0.087 0.129 0.302
O 0.116 0.713 0.099
O 0.171 0.216 0.499
O 0.309 0.007 0.754
O 0.383 0.104 0.155
O 0.414 0.577 0.442
O 0.472 0.621 0.117

ΔH_f (0 K) in eV/atom: -1.37
Uncorrected energy in eV per atom: -5.96
Total magnetic moment in μB per atom: 0.61


# 2
Here is a relaxed Fe4As2O11 crystal from Materials Project. Energies are from GGA+U.

Unit cell a=5.049 b=6.418 c=6.693 alpha=109.69 beta=105.95 gamma=97.49
Space group P1 (No. 1)
Unique sites:
Fe 0.000 0.000 0.000
Fe 0.224 0.509 0.069
Fe 0.450 0.134 0.789
Fe 0.770 0.393 0.277
As 0.444 0.570 0.633
As 0.773 0.954 0.433
O 0.042 0.972 0.670
O 0.109 0.757 0.033
O 0.175 0.553 0.400
O 0.328 0.410 0.769
O 0.374 0.238 0.077
O 0.493 0.043 0.501
O 0.570 0.856 0.823
O 0.645 0.669 0.242
O 0.724 0.482 0.565
O 0.845 0.288 0.993
O 0.889 0.109 0.293

ΔH_f (0 K) in eV/atom: -1.58
Uncorrected energy in eV per atom: -6.35
E above lowest polymorph in kJ per mole of atoms: 7.8
Total magnetic moment in μB per atom: 1.06


# 3
Here is a relaxed Fe4As3O23 crystal from Materials Project. Energies are from GGA+U.

Unit cell a=7.916 b=7.916 c=7.916 alpha=90.00 beta=90.00 gamma=90.00
Space group P-43m (No. 215)
Unique sites:
Fe 0.135 0.135 0.135
As 0.000 0.000 0.500
O 0.000 0.500 0.500
O 0.116 0.116 0.884
O 0.128 0.128 0.379
O 0.352 0.352 0.648

ΔH_f (0 K) in eV/atom: -0.53
Uncorrected energy in eV per atom: -5.09
E above lowest polymorph in kJ per mole of atoms: 0.0
Total magnetic moment in μB per atom: 1.01


# 4
Here is a relaxed FeAs2O4 crystal from Materials Project. Energies are from GGA+U.

Unit cell a=8.629 b=8.629 c=5.762 alpha=90.00 beta=90.00 gamma=90.00
Space group P4_2/mbc (No. 135)
Unique sites:
Fe 0.000 0.500 0.250
As 0.175 0.190 0.000
O 0.110 0.358 0.500
O 0.183 0.683 0.250

ΔH_f (0 K) in eV/atom: -1.50
Uncorrected energy in eV per atom: -6.16
Total magnetic moment in μB per atom: 0.57


# 5
Here is a relaxed Fe4As2O11 crystal from Materials Project. Energies are from GGA+U.

Unit cell a=5.144 b=6.575 c=6.733 alpha=108.94 beta=106.13 gamma=98.15
Space group P-1 (No. 2)
Unique sites:
Fe 0.104 0.253 0.032
Fe 0.342 0.872 0.749
As 0.337 0.315 0.606
O 0.000 0.500 0.000
O 0.074 0.293 0.368
O 0.216 0.156 0.738
O 0.261 0.975 0.044
O 0.393 0.778 0.461
O 0.463 0.591 0.788

ΔH_f (0 K) in eV/atom: -1.66
Uncorrected energy in eV per atom: -6.43
E above lowest polymorph in kJ per mole of atoms: 0.0
Total magnetic moment in μB per atom: 1.18


# 6
Here is a relaxed FeAsO4 crystal from Materials Project. Energies are from GGA+U.

Unit cell a=5.129 b=8.277 c=8.086 alpha=90.00 beta=112.76 gamma=90.00
Space group P2_1/c (No. 14)
Unique sites:
Fe 0.091 0.041 0.326
As 0.345 0.703 0.572
O 0.130 0.625 0.022
O 0.234 0.578 0.390
O 0.313 0.235 0.369
O 0.323 0.604 0.751

ΔH_f (0 K) in eV/atom: -1.68
Uncorrected energy in eV per atom: -6.33


# 7
Here is a relaxed FeAsO4 crystal from Materials Project. Energies are from GGA+U.

Unit cell a=10.982 b=13.739 c=6.632 alpha=90.00 beta=90.00 gamma=90.00
Space group Imma (No. 74)
Unique sites:
Fe 0.000 0.000 0.000
Fe 0.250 0.136 0.250
As 0.000 0.250 0.071
As 0.250 0.073 0.750
O 0.000 0.144 0.938
O 0.128 0.250 0.227
O 0.136 0.016 0.210
O 0.218 0.141 0.544

ΔH_f (0 K) in eV/atom: -1.68
Uncorrected energy in eV per atom: -6.33


# 8
Here is a relaxed Fe4As3O23 crystal from Materials Project. Energies are from GGA+U.

Unit cell a=7.917 b=7.925 c=7.943 alpha=88.66 beta=89.43 gamma=89.63
Space group P1 (No. 1)
Unique sites:
Fe 0.000 0.000 0.000
Fe 0.000 0.281 0.717
Fe 0.271 0.269 0.987
Fe 0.273 0.008 0.725
As 0.140 0.143 0.357
As 0.140 0.640 0.860
As 0.635 0.138 0.856
O 0.016 0.011 0.245
O 0.016 0.526 0.730
O 0.019 0.278 0.473
O 0.019 0.755 0.996
O 0.032 0.671 0.386
O 0.033 0.258 0.976
O 0.034 0.022 0.740
O 0.261 0.026 0.971
O 0.262 0.253 0.744
O 0.274 0.260 0.227
O 0.274 0.767 0.738
O 0.275 0.022 0.484
O 0.275 0.510 0.977
O 0.512 0.264 0.983
O 0.515 0.010 0.729
O 0.524 0.549 0.427
O 0.544 0.643 0.294
O 0.618 0.110 0.362
O 0.634 0.648 0.861
O 0.692 0.646 0.223
O 0.757 0.010 0.984
O 0.757 0.267 0.730
O 0.892 0.701 0.439

ΔH_f (0 K) in eV/atom: -0.44
Uncorrected energy in eV per atom: -5.53
E above lowest polymorph in kJ per mole of atoms: 8.1
Total magnetic moment in μB per atom: 0.43


# 9
Here is a relaxed Fe4As10PbO22 crystal from Materials Project. Energies are from GGA+U.

Unit cell a=10.077 b=10.582 c=12.177 alpha=82.50 beta=66.04 gamma=80.22
Space group P-1 (No. 2)
Unique sites:
Fe 0.100 0.248 0.407
Fe 0.169 0.750 0.335
Fe 0.256 0.481 0.228
Fe 0.283 0.015 0.241
As 0.042 0.329 0.803
As 0.093 0.938 0.100
As 0.100 0.990 0.620
As 0.122 0.261 0.125
As 0.180 0.497 0.537
As 0.211 0.532 0.974
As 0.366 0.041 0.820
As 0.424 0.833 0.432
As 0.467 0.231 0.294
As 0.493 0.556 0.325
Pb 0.494 0.746 0.011
O 0.024 0.542 0.097
O 0.036 0.152 0.576
O 0.055 0.786 0.074
O 0.060 0.090 0.340
O 0.077 0.020 0.772
O 0.088 0.631 0.269
O 0.103 0.657 0.502
O 0.125 0.346 0.245
O 0.195 0.408 0.414
O 0.209 0.876 0.183
O 0.238 0.354 0.988
O 0.278 0.142 0.106
O 0.282 0.869 0.372
O 0.305 0.150 0.336
O 0.318 0.545 0.056
O 0.355 0.618 0.264
O 0.367 0.533 0.483
O 0.396 0.863 0.833
O 0.435 0.353 0.188
O 0.454 0.293 0.666
O 0.457 0.047 0.652
O 0.485 0.941 0.144

ΔH_f (0 K) in eV/atom: -1.66
Uncorrected energy in eV per atom: -6.23
Total magnetic moment in μB per atom: 0.54


# 10
Here is a relaxed Fe2As2PbO10 crystal from Materials Project. Energies are from GGA+U.

Unit cell a=7.842 b=16.925 c=11.963 alpha=90.00 beta=90.00 gamma=90.00
Space group Cccm (No. 66)
Unique sites:
Fe 0.132 0.125 0.130
As 0.000 0.288 0.250
As 0.232 0.040 0.500
Pb 0.000 0.500 0.250
Pb 0.250 0.250 0.500
O 0.000 0.087 0.250
O 0.008 0.226 0.365
O 0.033 0.087 0.500
O 0.117 0.389 0.500
O 0.177 0.348 0.243
O 0.241 0.161 0.000
O 0.250 0.019 0.117

ΔH_f (0 K) in eV/atom: -1.49
Uncorrected energy in eV per atom: -6.03
Total magnetic moment in μB per atom: 0.53


> Number 4 is which compound?

FeAs2O4